*i*
A geometry-optimized Li2CeAl structure, computed with PBE.

## Properties
ρ	2.82	g cm⁻³
space-group type	P-1, No. 2

Cell lengths 5.277, 5.282, 5.310 Å; angles 119.64, 90.13, 119.16 degrees
Sites, in units of the cell vectors:
Li (0.250, 0.000, 0.250)
Li (0.750, 0.000, 0.750)
Ce (0.000, 0.500, 0.500)
Al (0.500, 0.500, 0.000)

*ii*
A geometry-optimized Li2CeAl structure, computed with PBE.

## Properties
ρ	3.77	g cm⁻³
space-group type	Fm-3m, No. 225

Cell lengths 4.833, 4.833, 4.833 Å; angles 60.00, 60.00, 60.00 degrees
Sites, in units of the cell vectors:
Li (0.250, 0.250, 0.250)
Li (0.750, 0.750, 0.750)
Ce (0.000, 0.000, 0.000)
Al (0.500, 0.500, 0.500)

Most stable structure: *ii*

*i*
A geometry-optimized CeMg14Al structure, computed with PBE.

## Properties
ρ	2.28	g cm⁻³
space-group type	P-6m2, No. 187

Cell lengths 6.433, 6.433, 10.321 Å; angles 90.00, 90.00, 120.00 degrees
Sites, in units of the cell vectors:
Ce (0.000, 0.000, 0.000)
Mg (0.014, 0.507, 0.000)
Mg (0.166, 0.332, 0.260)
Mg (0.166, 0.332, 0.740)
Mg (0.166, 0.834, 0.260)
Mg (0.166, 0.834, 0.740)
Mg (0.493, 0.507, 0.000)
Mg (0.493, 0.986, 0.000)
Mg (0.503, 0.005, 0.500)
Mg (0.503, 0.497, 0.500)
Mg (0.667, 0.333, 0.238)
Mg (0.667, 0.333, 0.762)
Mg (0.668, 0.834, 0.260)
Mg (0.668, 0.834, 0.740)
Mg (0.995, 0.497, 0.500)
Al (0.000, 0.000, 0.500)

*ii*
A geometry-optimized CeMg14Al structure, computed with PBE.

## Properties
ρ	2.24	g cm⁻³
space-group type	Amm2, No. 38

Cell lengths 10.337, 6.513, 6.513 Å; angles 59.03, 90.00, 90.00 degrees
Sites, in units of the cell vectors:
Ce (0.000, 0.000, 0.000)
Mg (0.000, 0.012, 0.493)
Mg (0.000, 0.493, 0.012)
Mg (0.235, 0.658, 0.658)
Mg (0.254, 0.166, 0.656)
Mg (0.254, 0.656, 0.166)
Mg (0.260, 0.164, 0.164)
Mg (0.500, 0.498, 0.498)
Mg (0.500, 0.499, 0.992)
Mg (0.500, 0.992, 0.499)
Mg (0.500, 0.996, 0.996)
Mg (0.740, 0.164, 0.164)
Mg (0.746, 0.166, 0.656)
Mg (0.746, 0.656, 0.166)
Mg (0.765, 0.658, 0.658)
Al (0.000, 0.483, 0.483)

Most stable structure: *ii*

*i*
A geometry-optimized Na4Al3Si3ClO12 structure, computed with PBE.

## Properties
ρ	2.21	g cm⁻³
space-group type	C2, No. 5

Cell lengths 7.784, 7.784, 8.963 Å; angles 125.12, 125.12, 70.54 degrees
Sites, in units of the cell vectors:
Na (0.176, 0.176, 0.493)
Na (0.177, 0.460, 0.145)
Na (0.540, 0.823, 0.855)
Na (0.824, 0.824, 0.507)
Al (0.430, 0.073, 0.256)
Al (0.927, 0.073, 0.000)
Al (0.927, 0.570, 0.744)
Si (0.433, 0.567, 0.000)
Si (0.675, 0.315, 0.244)
Si (0.685, 0.325, 0.756)
Cl (0.178, 0.822, 0.500)
O (0.178, 0.122, 0.216)
O (0.192, 0.522, 0.910)
O (0.477, 0.243, 0.211)
O (0.478, 0.808, 0.090)
O (0.483, 0.406, 0.803)
O (0.594, 0.517, 0.197)
O (0.603, 0.125, 0.518)
O (0.746, 0.117, 0.079)
O (0.757, 0.523, 0.789)
O (0.875, 0.397, 0.482)
O (0.878, 0.822, 0.784)
O (0.883, 0.254, 0.921)

*ii*
A geometry-optimized Na4Al3Si3ClO12 structure, computed with PBE.

## Properties
ρ	2.23	g cm⁻³
space-group type	P-43n, No. 218
largest piezoelectric modulus	0.201	C/m²

Cell lengths 8.971, 8.971, 8.971 Å; angles 90.00, 90.00, 90.00 degrees
Sites, in units of the cell vectors:
Na (0.178, 0.178, 0.178)
Na (0.178, 0.822, 0.822)
Na (0.322, 0.322, 0.678)
Na (0.322, 0.678, 0.322)
Na (0.678, 0.322, 0.322)
Na (0.678, 0.678, 0.678)
Na (0.822, 0.178, 0.822)
Na (0.822, 0.822, 0.178)
Al (0.000, 0.250, 0.500)
Al (0.000, 0.750, 0.500)
Al (0.250, 0.500, 0.000)
Al (0.500, 0.000, 0.250)
Al (0.500, 0.000, 0.750)
Al (0.750, 0.500, 0.000)
Si (0.000, 0.500, 0.250)
Si (0.000, 0.500, 0.750)
Si (0.250, 0.000, 0.500)
Si (0.500, 0.250, 0.000)
Si (0.500, 0.750, 0.000)
Si (0.750, 0.000, 0.500)
Cl (0.000, 0.000, 0.000)
Cl (0.500, 0.500, 0.500)
O (0.062, 0.361, 0.649)
O (0.062, 0.639, 0.351)
O (0.139, 0.438, 0.149)
O (0.139, 0.562, 0.851)
O (0.149, 0.139, 0.438)
O (0.149, 0.861, 0.562)
O (0.351, 0.062, 0.639)
O (0.351, 0.938, 0.361)
O (0.361, 0.351, 0.938)
O (0.361, 0.649, 0.062)
O (0.438, 0.149, 0.139)
O (0.438, 0.851, 0.861)
O (0.562, 0.149, 0.861)
O (0.562, 0.851, 0.139)
O (0.639, 0.351, 0.062)
O (0.639, 0.649, 0.938)
O (0.649, 0.062, 0.361)
O (0.649, 0.938, 0.639)
O (0.851, 0.139, 0.562)
O (0.851, 0.861, 0.438)
O (0.861, 0.438, 0.851)
O (0.861, 0.562, 0.149)
O (0.938, 0.361, 0.351)
O (0.938, 0.639, 0.649)

Most stable structure: *ii*